{"formula": "YSeO3F", "functional": "PBE", "state": "optimized geometry", "lattice": [[-3.6725, -2.3883, -5.4648], [-3.2465, -4.2206, 4.0263], [-5.5819, 4.3212, 1.8627]], "species": ["Se", "Se", "Se", "Se", "F", "F", "F", "F", "O", "O", "O", "O", "O", "O", "O", "O", "O", "O", "O", "O", "Y", "Y", "Y", "Y"], "frac_coords": [[0.8810, 0.3504, 0.7113], [0.1190, 0.6496, 0.2887], [0.3810, 0.6496, 0.7887], [0.6190, 0.3504, 0.2113], [0.3815, 0.1675, 0.9753], [0.6185, 0.8325, 0.0247], [0.1185, 0.1675, 0.4753], [0.8815, 0.8325, 0.5247], [0.5310, 0.8259, 0.6486], [0.8136, 0.5129, 0.8595], [0.8049, 0.1752, 0.2200], [0.3136, 0.4871, 0.6405], [0.6951, 0.1752, 0.7200], [0.9690, 0.8259, 0.1486], [0.3049, 0.8248, 0.2800], [0.0310, 0.1741, 0.8514], [0.6864, 0.5129, 0.3595], [0.4690, 0.1741, 0.3514], [0.1951, 0.8248, 0.7800], [0.1864, 0.4871, 0.1405], [0.1398, 0.1408, 0.1763], [0.6398, 0.8592, 0.3237], [0.8602, 0.8592, 0.8237], [0.3602, 0.1408, 0.6763]], "sg": "P2_1/c, No. 14", "dft_energy_ev_per_atom": -6.830, "e_above_lowest_polymorph_ev_per_atom": 0.0237, "ef_mev_per_atom": -2797.3}